Below is crystalline KNb3Se2O12 at its relaxed geometry, with properties calculated at the PBE-GGA level.

total DFT energy (no corrections)	-7.389	eV per atom
ΔH_f (0 K)	-2.415	eV per atom

a b c (Å): 4.073 15.182 17.550
angles (deg): 90.00 90.00 90.00
Space group Pbcm (No. 57)
One atom of each set of equivalent atoms:
K 0.201 0.067 0.250 [4 per cell]
Nb 0.258 0.648 0.067 [8 per cell]
Nb 0.263 0.711 0.750 [4 per cell]
Se 0.412 0.081 0.601 [8 per cell]
O 0.186 0.203 0.750 [4 per cell]
O 0.188 0.142 0.067 [8 per cell]
O 0.303 0.568 0.529 [8 per cell]
O 0.309 0.604 0.673 [8 per cell]
O 0.313 0.704 0.168 [8 per cell]
O 0.314 0.750 0.000 [4 per cell]
O 0.327 0.527 0.128 [8 per cell]

***

Below is crystalline K3Nb3Si2O13 at its relaxed geometry, with properties calculated at the PBE-GGA level.

total DFT energy (no corrections)	-7.747	eV per atom
polymorph energy (0 for the lowest one)	0.0	meV per atom
ΔH_f (0 K)	-2.991	eV per atom

a b c (Å): 9.2466 9.2466 7.9665
angles (deg): 90.00 90.00 120.00
Space group P-62c (No. 190)
One atom of each set of equivalent atoms:
K 0.0323 0.4161 0.2500 [6 per cell]
Nb 0.0000 0.7618 0.0000 [6 per cell]
Si 0.3333 0.6667 0.5447 [4 per cell]
O 0.0000 0.1752 0.0000 [6 per cell]
O 0.0112 0.7543 0.7500 [6 per cell]
O 0.1809 0.6926 0.0197 [12 per cell]
O 0.3333 0.6667 0.7500 [2 per cell]

***

Below is crystalline K3Nb3Si2O13 at its relaxed geometry, with properties calculated at the PBE-GGA level.

total DFT energy (no corrections)	-7.740	eV per atom
polymorph energy (0 for the lowest one)	6.8	meV per atom
ΔH_f (0 K)	-2.984	eV per atom

a b c (Å): 9.2578 9.2578 7.9268
angles (deg): 90.00 90.00 120.00
Space group P-62m (No. 189)
One atom of each set of equivalent atoms:
K 0.0000 0.5959 0.0000 [3 per cell]
K 0.0000 0.6107 0.5000 [3 per cell]
Nb 0.0000 0.2379 0.2496 [6 per cell]
Si 0.3333 0.6667 0.2911 [4 per cell]
O 0.0000 0.2319 0.0000 [3 per cell]
O 0.0000 0.2701 0.5000 [3 per cell]
O 0.0000 0.8261 0.2654 [6 per cell]
O 0.1828 0.4866 0.2291 [12 per cell]
O 0.3333 0.6667 0.5000 [2 per cell]

***

Below is crystalline KNbSi2O7 at its relaxed geometry, with properties calculated at the PBE-GGA level.

total DFT energy (no corrections)	-7.831	eV per atom
ΔH_f (0 K)	-3.113	eV per atom

a b c (Å): 8.877 8.877 8.274
angles (deg): 90.00 90.00 90.00
Space group P4bm (No. 100)
One atom of each set of equivalent atoms:
K 0.178 0.322 0.000 [4 per cell]
Nb 0.000 0.000 0.226 [2 per cell]
Nb 0.000 0.000 0.729 [2 per cell]
Si 0.123 0.623 0.311 [4 per cell]
Si 0.124 0.624 0.701 [4 per cell]
O 0.000 0.000 0.007 [2 per cell]
O 0.000 0.000 0.511 [2 per cell]
O 0.000 0.500 0.240 [2 per cell]
O 0.000 0.500 0.772 [2 per cell]
O 0.076 0.787 0.241 [8 per cell]
O 0.077 0.788 0.771 [8 per cell]
O 0.120 0.620 0.506 [4 per cell]